1.
{"formula": "NaTeF5", "functional": "r2SCAN", "state": "relaxed", "formation_enthalpy_0k_ev_per_atom": -2.51, "space_group": "Pnma, No. 62", "lattice": [[10.110, 0.000, 0.000], [0.000, 5.858, 0.000], [0.000, 0.000, 7.056]], "species": ["Na", "Na", "Na", "Na", "Te", "Te", "Te", "Te", "F", "F", "F", "F", "F", "F", "F", "F", "F", "F", "F", "F", "F", "F", "F", "F", "F", "F", "F", "F"], "fractional_positions": [[0.002, 0.250, 0.178], [0.498, 0.750, 0.678], [0.502, 0.250, 0.322], [0.998, 0.750, 0.822], [0.235, 0.250, 0.653], [0.265, 0.750, 0.153], [0.735, 0.250, 0.847], [0.765, 0.750, 0.347], [0.098, 0.016, 0.647], [0.098, 0.484, 0.647], [0.135, 0.523, 0.050], [0.135, 0.977, 0.050], [0.192, 0.250, 0.390], [0.308, 0.750, 0.890], [0.365, 0.023, 0.550], [0.365, 0.477, 0.550], [0.402, 0.516, 0.147], [0.402, 0.984, 0.147], [0.598, 0.016, 0.853], [0.598, 0.484, 0.853], [0.635, 0.523, 0.450], [0.635, 0.977, 0.450], [0.692, 0.250, 0.110], [0.808, 0.750, 0.610], [0.865, 0.023, 0.950], [0.865, 0.477, 0.950], [0.902, 0.516, 0.353], [0.902, 0.984, 0.353]]}



2.
{"formula": "Y4CdIr", "functional": "r2SCAN", "state": "relaxed", "formation_enthalpy_0k_ev_per_atom": -0.56, "space_group": "F-43m, No. 216", "lattice": [[0.000, 6.822, 6.822], [6.822, 0.000, 6.822], [6.822, 6.822, 0.000]], "species": ["Y", "Y", "Y", "Y", "Y", "Y", "Y", "Y", "Y", "Y", "Y", "Y", "Y", "Y", "Y", "Y", "Cd", "Cd", "Cd", "Cd", "Ir", "Ir", "Ir", "Ir"], "fractional_positions": [[0.189, 0.189, 0.811], [0.189, 0.811, 0.189], [0.189, 0.811, 0.811], [0.401, 0.401, 0.401], [0.401, 0.401, 0.796], [0.401, 0.796, 0.401], [0.559, 0.559, 0.941], [0.559, 0.941, 0.559], [0.559, 0.941, 0.941], [0.796, 0.401, 0.401], [0.811, 0.189, 0.189], [0.811, 0.189, 0.811], [0.811, 0.811, 0.189], [0.941, 0.559, 0.559], [0.941, 0.559, 0.941], [0.941, 0.941, 0.559], [0.170, 0.170, 0.170], [0.170, 0.170, 0.490], [0.170, 0.490, 0.170], [0.490, 0.170, 0.170], [0.173, 0.609, 0.609], [0.609, 0.173, 0.609], [0.609, 0.609, 0.173], [0.609, 0.609, 0.609]]}



3.
{"formula": "Dy4MgRu", "functional": "r2SCAN", "state": "relaxed", "formation_enthalpy_0k_ev_per_atom": -0.27, "space_group": "F-43m, No. 216", "lattice": [[0.000, 6.830, 6.830], [6.830, 0.000, 6.830], [6.830, 6.830, 0.000]], "species": ["Dy", "Dy", "Dy", "Dy", "Dy", "Dy", "Dy", "Dy", "Dy", "Dy", "Dy", "Dy", "Dy", "Dy", "Dy", "Dy", "Mg", "Mg", "Mg", "Mg", "Ru", "Ru", "Ru", "Ru"], "fractional_positions": [[0.030, 0.657, 0.657], [0.062, 0.062, 0.438], [0.062, 0.438, 0.062], [0.062, 0.438, 0.438], [0.187, 0.187, 0.813], [0.187, 0.813, 0.187], [0.187, 0.813, 0.813], [0.438, 0.062, 0.062], [0.438, 0.062, 0.438], [0.438, 0.438, 0.062], [0.657, 0.030, 0.657], [0.657, 0.657, 0.030], [0.657, 0.657, 0.657], [0.813, 0.187, 0.187], [0.813, 0.187, 0.813], [0.813, 0.813, 0.187], [0.421, 0.421, 0.421], [0.421, 0.421, 0.736], [0.421, 0.736, 0.421], [0.736, 0.421, 0.421], [0.416, 0.861, 0.861], [0.861, 0.416, 0.861], [0.861, 0.861, 0.416], [0.861, 0.861, 0.861]]}



4.
{"formula": "La5Si5I3", "functional": "r2SCAN", "state": "relaxed", "formation_enthalpy_0k_ev_per_atom": -1.16, "space_group": "C2/m, No. 12", "lattice": [[12.110, -2.138, 0.000], [12.110, 2.138, 0.000], [-5.543, 0.000, 14.858]], "species": ["La", "La", "La", "La", "La", "La", "La", "La", "La", "La", "Si", "Si", "Si", "Si", "Si", "Si", "Si", "Si", "Si", "Si", "I", "I", "I", "I", "I", "I"], "fractional_positions": [[0.017, 0.017, 0.291], [0.086, 0.086, 0.563], [0.164, 0.164, 0.834], [0.262, 0.262, 0.671], [0.338, 0.338, 0.942], [0.662, 0.662, 0.058], [0.738, 0.738, 0.329], [0.836, 0.836, 0.166], [0.914, 0.914, 0.437], [0.983, 0.983, 0.709], [0.241, 0.241, 0.190], [0.250, 0.250, 0.040], [0.328, 0.328, 0.318], [0.424, 0.424, 0.295], [0.492, 0.492, 0.572], [0.508, 0.508, 0.428], [0.576, 0.576, 0.705], [0.672, 0.672, 0.682], [0.750, 0.750, 0.960], [0.759, 0.759, 0.810], [0.061, 0.061, 0.933], [0.173, 0.173, 0.437], [0.409, 0.409, 0.795], [0.591, 0.591, 0.205], [0.827, 0.827, 0.563], [0.939, 0.939, 0.067]]}



5.
{"formula": "Ba3AlAs3", "functional": "r2SCAN", "state": "relaxed", "formation_enthalpy_0k_ev_per_atom": -1.23, "space_group": "Cmce, No. 64", "lattice": [[10.017, -3.467, 0.000], [10.017, 3.467, 0.000], [0.000, 0.000, 13.413]], "species": ["Ba", "Ba", "Ba", "Ba", "Ba", "Ba", "Ba", "Ba", "Ba", "Ba", "Ba", "Ba", "Al", "Al", "Al", "Al", "As", "As", "As", "As", "As", "As", "As", "As", "As", "As", "As", "As"], "fractional_positions": [[0.012, 0.636, 0.130], [0.136, 0.512, 0.630], [0.168, 0.832, 0.847], [0.332, 0.668, 0.347], [0.364, 0.988, 0.130], [0.488, 0.864, 0.630], [0.512, 0.136, 0.370], [0.636, 0.012, 0.870], [0.668, 0.332, 0.653], [0.832, 0.168, 0.153], [0.864, 0.488, 0.370], [0.988, 0.364, 0.870], [0.083, 0.083, 0.500], [0.417, 0.417, 0.000], [0.583, 0.583, 0.000], [0.917, 0.917, 0.500], [0.034, 0.653, 0.383], [0.153, 0.534, 0.883], [0.201, 0.799, 0.595], [0.299, 0.701, 0.095], [0.347, 0.966, 0.383], [0.466, 0.847, 0.883], [0.534, 0.153, 0.117], [0.653, 0.034, 0.617], [0.701, 0.299, 0.905], [0.799, 0.201, 0.405], [0.847, 0.466, 0.117], [0.966, 0.347, 0.617]]}



6.
{"formula": "FeNiPt6", "functional": "r2SCAN", "state": "relaxed", "formation_enthalpy_0k_ev_per_atom": -0.21, "space_group": "P4/mmm, No. 123", "lattice": [[3.878, 0.000, 0.000], [0.000, 3.878, 0.000], [0.000, 0.000, 7.714]], "species": ["Fe", "Ni", "Pt", "Pt", "Pt", "Pt", "Pt", "Pt"], "fractional_positions": [[0.000, 0.000, 0.000], [0.000, 0.000, 0.500], [0.000, 0.500, 0.249], [0.000, 0.500, 0.751], [0.500, 0.000, 0.249], [0.500, 0.000, 0.751], [0.500, 0.500, 0.000], [0.500, 0.500, 0.500]]}



7.
{"formula": "Tl2TeMo2P2O14", "functional": "r2SCAN", "state": "relaxed", "formation_enthalpy_0k_ev_per_atom": -1.96, "space_group": "Pbcn, No. 60", "lattice": [[12.528, 0.000, 0.000], [0.000, 8.885, 0.000], [0.000, 0.000, 11.298]], "species": ["Tl", "Tl", "Tl", "Tl", "Tl", "Tl", "Tl", "Tl", "Te", "Te", "Te", "Te", "Mo", "Mo", "Mo", "Mo", "Mo", "Mo", "Mo", "Mo", "P", "P", "P", "P", "P", "P", "P", "P", "O", "O", "O", "O", "O", "O", "O", "O", "O", "O", "O", "O", "O", "O", "O", "O", "O", "O", "O", "O", "O", "O", "O", "O", "O", "O", "O", "O", "O", "O", "O", "O", "O", "O", "O", "O", "O", "O", "O", "O", "O", "O", "O", "O", "O", "O", "O", "O", "O", "O", "O", "O", "O", "O", "O", "O"], "fractional_positions": [[0.187, 0.024, 0.223], [0.187, 0.976, 0.723], [0.313, 0.476, 0.723], [0.313, 0.524, 0.223], [0.687, 0.476, 0.777], [0.687, 0.524, 0.277], [0.813, 0.024, 0.277], [0.813, 0.976, 0.777], [0.000, 0.372, 0.750], [0.000, 0.628, 0.250], [0.500, 0.128, 0.250], [0.500, 0.872, 0.750], [0.122, 0.244, 0.480], [0.122, 0.756, 0.980], [0.378, 0.256, 0.980], [0.378, 0.744, 0.480], [0.622, 0.256, 0.520], [0.622, 0.744, 0.020], [0.878, 0.244, 0.020], [0.878, 0.756, 0.520], [0.131, 0.359, 0.004], [0.131, 0.641, 0.504], [0.369, 0.141, 0.504], [0.369, 0.859, 0.004], [0.631, 0.141, 0.996], [0.631, 0.859, 0.496], [0.869, 0.359, 0.496], [0.869, 0.641, 0.996], [0.031, 0.283, 0.055], [0.031, 0.717, 0.555], [0.072, 0.232, 0.656], [0.072, 0.768, 0.156], [0.119, 0.055, 0.458], [0.119, 0.945, 0.958], [0.130, 0.349, 0.868], [0.130, 0.651, 0.368], [0.135, 0.480, 0.548], [0.135, 0.520, 0.048], [0.163, 0.310, 0.345], [0.163, 0.690, 0.845], [0.228, 0.270, 0.050], [0.228, 0.730, 0.550], [0.272, 0.230, 0.550], [0.272, 0.770, 0.050], [0.337, 0.190, 0.845], [0.337, 0.810, 0.345], [0.365, 0.020, 0.048], [0.365, 0.980, 0.548], [0.370, 0.151, 0.368], [0.370, 0.849, 0.868], [0.381, 0.445, 0.958], [0.381, 0.555, 0.458], [0.428, 0.268, 0.156], [0.428, 0.732, 0.656], [0.469, 0.217, 0.555], [0.469, 0.783, 0.055], [0.531, 0.217, 0.945], [0.531, 0.783, 0.445], [0.572, 0.268, 0.344], [0.572, 0.732, 0.844], [0.619, 0.445, 0.542], [0.619, 0.555, 0.042], [0.630, 0.151, 0.132], [0.630, 0.849, 0.632], [0.635, 0.020, 0.452], [0.635, 0.980, 0.952], [0.663, 0.190, 0.655], [0.663, 0.810, 0.155], [0.728, 0.230, 0.950], [0.728, 0.770, 0.450], [0.772, 0.270, 0.450], [0.772, 0.730, 0.950], [0.837, 0.310, 0.155], [0.837, 0.690, 0.655], [0.865, 0.480, 0.952], [0.865, 0.520, 0.452], [0.870, 0.349, 0.632], [0.870, 0.651, 0.132], [0.881, 0.055, 0.042], [0.881, 0.945, 0.542], [0.928, 0.232, 0.844], [0.928, 0.768, 0.344], [0.969, 0.283, 0.445], [0.969, 0.717, 0.945]]}



8.
{"formula": "Yb2CdIn", "functional": "r2SCAN", "state": "relaxed", "formation_enthalpy_0k_ev_per_atom": -0.47, "space_group": "Fm-3m, No. 225", "lattice": [[0.000, 3.662, 3.662], [3.662, 0.000, 3.662], [3.662, 3.662, 0.000]], "species": ["Yb", "Yb", "Cd", "In"], "fractional_positions": [[0.250, 0.250, 0.250], [0.750, 0.750, 0.750], [0.000, 0.000, 0.000], [0.500, 0.500, 0.500]]}



9.
{"formula": "Mg2PdAu", "functional": "r2SCAN", "state": "relaxed", "formation_enthalpy_0k_ev_per_atom": -0.67, "space_group": "Fm-3m, No. 225", "lattice": [[0.000, 3.206, 3.206], [3.206, 0.000, 3.206], [3.206, 3.206, 0.000]], "species": ["Mg", "Mg", "Pd", "Au"], "fractional_positions": [[0.250, 0.250, 0.250], [0.750, 0.750, 0.750], [0.000, 0.000, 0.000], [0.500, 0.500, 0.500]]}



10.
{"formula": "MgCd5", "functional": "r2SCAN", "state": "relaxed", "formation_enthalpy_0k_ev_per_atom": -0.02, "space_group": "Cm, No. 8", "lattice": [[6.014, -1.520, 0.000], [6.014, 1.520, 0.000], [-2.672, 0.000, 7.071]], "species": ["Mg", "Cd", "Cd", "Cd", "Cd", "Cd"], "fractional_positions": [[0.000, 0.000, 0.000], [0.051, 0.051, 0.616], [0.329, 0.329, 0.665], [0.393, 0.393, 0.275], [0.666, 0.666, 0.331], [0.721, 0.721, 0.947]]}



11.
{"formula": "Sc2Co", "functional": "r2SCAN", "state": "relaxed", "formation_enthalpy_0k_ev_per_atom": -0.13, "space_group": "I4/mcm, No. 140", "lattice": [[-3.141, 3.141, 2.814], [3.141, -3.141, 2.814], [3.141, 3.141, -2.814]], "species": ["Sc", "Sc", "Sc", "Sc", "Co", "Co"], "fractional_positions": [[0.178, 0.678, 0.857], [0.322, 0.178, 0.500], [0.678, 0.822, 0.500], [0.822, 0.322, 0.143], [0.250, 0.250, 0.000], [0.750, 0.750, 0.000]]}



12.
{"formula": "MgHg5", "functional": "r2SCAN", "state": "relaxed", "formation_enthalpy_0k_ev_per_atom": -0.01, "space_group": "R32, No. 155", "lattice": [[2.693, 1.555, 5.709], [-2.693, 1.555, 5.709], [0.000, -3.110, 5.709]], "species": ["Mg", "Hg", "Hg", "Hg", "Hg", "Hg"], "fractional_positions": [[0.000, 0.000, 0.000], [0.163, 0.500, 0.837], [0.337, 0.337, 0.337], [0.500, 0.837, 0.163], [0.663, 0.663, 0.663], [0.837, 0.163, 0.500]]}